## Li9Mn7O16 (PBE+U)

Data for a geometry-optimized Li9Mn7O16 structure.

Total energy after the MP2020 corrections, eV per atom: -7.1430
Polymorph energy (0 for the lowest one), meV per atom: 17
Crystal system: monoclinic
ΔE_f, kJ/mol of atoms: -205

a = 9.871 Å, b = 2.876 Å, c = 10.528 Å
α = 90.00°, β = 96.14°, γ = 90.00°
Fractional coordinates of all 32 atoms:
Li 0.000 0.000 0.000
Li 0.000 0.000 0.500
Li 0.254 0.500 0.131
Li 0.256 0.500 0.618
Li 0.498 0.000 0.742
Li 0.500 0.500 0.500
Li 0.502 0.000 0.258
Li 0.744 0.500 0.382
Li 0.746 0.500 0.869
Mn 0.007 0.500 0.256
Mn 0.247 0.000 0.873
Mn 0.262 0.000 0.387
Mn 0.500 0.500 0.000
Mn 0.738 0.000 0.613
Mn 0.753 0.000 0.127
Mn 0.993 0.500 0.744
O 0.106 0.000 0.689
O 0.127 0.000 0.206
O 0.135 0.500 0.936
O 0.142 0.500 0.435
O 0.359 0.500 0.811
O 0.361 0.000 0.542
O 0.364 0.500 0.318
O 0.389 0.000 0.061
O 0.611 0.000 0.939
O 0.636 0.500 0.682
O 0.639 0.000 0.458
O 0.641 0.500 0.189
O 0.858 0.500 0.565
O 0.865 0.500 0.064
O 0.873 0.000 0.794
O 0.894 0.000 0.311